# 1
DFT (GGA-PBE) results for a relaxed structure of AsO2.

extended XYZ file:
```
36
Lattice="12.425 0.000 0.000 0.000 4.531 0.000 -5.136 0.000 10.199" Properties=species:S:1:pos:R:3 pbc="T T T"
As -0.403 1.118 1.854
As -2.971 1.147 6.953
As 2.912 2.732 0.138
As 0.344 4.064 5.238
As 1.410 0.254 8.243
As 3.978 2.012 3.144
As 3.310 2.519 7.056
As 5.878 4.277 1.956
As 6.945 0.467 4.962
As 4.377 1.799 10.061
As 10.260 3.384 3.246
As 7.692 3.412 8.346
O -0.655 2.832 2.372
O -3.224 3.963 7.472
O -3.859 3.288 10.035
O -1.291 3.507 4.935
O 0.819 0.801 4.162
O -1.750 1.464 9.262
O 0.113 0.121 6.877
O 2.681 2.145 1.778
O 1.505 2.789 5.142
O 4.073 4.007 0.043
O 1.974 3.063 8.192
O 4.542 3.733 3.092
O 2.747 0.798 7.107
O 5.315 1.468 2.007
O 3.216 0.523 10.157
O 5.784 1.742 5.057
O 4.608 2.386 8.422
O 7.176 4.410 3.322
O 9.038 3.066 0.938
O 6.470 3.730 6.038
O 8.580 1.023 5.264
O 11.148 1.242 0.165
O 10.512 0.567 2.728
O 7.944 1.698 7.828
```

Space-group type: P2_1/c
Raw total energy (eV per atom): -5.82



# 2
DFT (GGA-PBE) results for a relaxed structure of Eu2SnS4.

extended XYZ file:
```
28
Lattice="11.284 0.000 0.000 0.000 8.817 0.000 0.000 0.000 7.521" Properties=species:S:1:pos:R:3 pbc="T T T"
Eu 2.140 0.045 0.899
Eu 2.140 4.363 0.899
Eu 3.502 4.454 4.659
Eu 3.502 8.772 4.659
Eu 7.782 0.045 2.861
Eu 7.782 4.363 2.861
Eu 9.144 4.454 6.622
Eu 9.144 8.772 6.622
Sn 0.340 2.204 4.585
Sn 5.302 6.613 0.825
Sn 5.982 2.204 6.696
Sn 10.944 6.613 2.936
S 0.717 0.128 5.821
S 0.717 4.281 5.821
S 2.131 6.613 3.018
S 2.238 2.204 2.983
S 3.404 6.613 6.743
S 3.511 2.204 6.779
S 4.925 4.536 2.061
S 4.925 8.690 2.061
S 6.359 0.128 5.460
S 6.359 4.281 5.460
S 7.773 6.613 0.742
S 7.880 2.204 0.778
S 9.046 6.613 4.538
S 9.153 2.204 4.502
S 10.567 4.536 1.700
S 10.567 8.690 1.700
```

Space-group type: Pnma
Raw total energy (eV per atom): -7.26



# 3
DFT (GGA-PBE) results for a relaxed structure of NaCN.

extended XYZ file:
```
6
Lattice="3.654 0.000 0.000 0.000 5.569 0.000 0.000 0.000 4.892" Properties=species:S:1:pos:R:3 pbc="T T T"
Na 0.914 1.392 1.112
Na 2.741 4.177 3.779
C 0.914 4.177 1.789
C 2.741 1.392 3.103
N 0.914 4.177 0.609
N 2.741 1.392 4.282
```

Offset from the most stable computed form (meV per atom): 0
Space-group type: Pmmn
Raw total energy (eV per atom): -6.48



# 4
DFT (GGA-PBE) results for a relaxed structure of RbPrF4.

extended XYZ file:
```
24
Lattice="6.495 0.000 0.000 0.000 3.841 0.000 0.000 0.000 16.349" Properties=species:S:1:pos:R:3 pbc="T T T"
Rb 1.466 0.960 3.273
Rb 1.782 2.881 11.447
Rb 4.714 0.960 4.902
Rb 5.029 2.881 13.076
Pr 1.616 2.881 7.217
Pr 1.632 0.960 15.392
Pr 4.863 2.881 0.957
Pr 4.880 0.960 9.132
F 0.001 0.960 0.894
F 6.494 2.881 15.455
F 0.628 0.960 13.290
F 0.734 0.960 6.046
F 0.848 0.960 8.739
F 2.400 2.881 0.565
F 2.514 2.881 14.221
F 2.620 2.881 5.116
F 3.249 0.960 7.281
F 3.246 2.881 9.068
F 3.876 0.960 11.233
F 3.981 0.960 2.128
F 4.095 0.960 15.784
F 5.648 2.881 7.609
F 5.762 2.881 10.302
F 5.867 2.881 3.059
```

Space-group type: Pnma
Raw total energy (eV per atom): -5.88



# 5
DFT (GGA-PBE) results for a relaxed structure of Al2Ni3.

extended XYZ file:
```
10
Lattice="2.806 0.000 0.000 0.000 2.806 0.000 0.000 0.000 14.962" Properties=species:S:1:pos:R:3 pbc="T T T"
Al 0.000 0.000 1.497
Al 0.000 0.000 4.554
Al 0.000 0.000 10.408
Al 0.000 0.000 13.465
Ni 0.000 0.000 7.481
Ni 1.403 1.403 0.000
Ni 1.403 1.403 3.001
Ni 1.403 1.403 5.977
Ni 1.403 1.403 8.984
Ni 1.403 1.403 11.961
```

Space-group type: P4/mmm
Raw total energy (eV per atom): -5.51



# 6
DFT (GGA-PBE) results for a relaxed structure of SiO2.

extended XYZ file:
```
72
Lattice="7.355 -10.400 0.000 7.355 10.400 0.000 0.000 0.000 8.644" Properties=species:S:1:pos:R:3 pbc="T T T"
Si 4.507 3.919 0.546
Si 4.507 3.919 3.776
Si 2.799 1.454 4.871
Si 2.799 1.454 8.095
Si 7.355 7.845 4.870
Si 7.355 7.845 8.096
Si 2.799 -1.454 0.549
Si 2.799 -1.454 3.773
Si 7.355 4.737 4.863
Si 7.355 4.737 8.103
Si 4.507 -3.919 4.868
Si 4.507 -3.919 8.098
Si 10.202 3.919 0.546
Si 10.202 3.919 3.776
Si 7.355 -4.737 0.541
Si 7.355 -4.737 3.781
Si 11.910 1.454 4.871
Si 11.910 1.454 8.095
Si 7.355 -7.845 0.548
Si 7.355 -7.845 3.774
Si 11.910 -1.454 0.549
Si 11.910 -1.454 3.773
Si 10.202 -3.919 4.868
Si 10.202 -3.919 8.098
O 3.677 5.200 0.000
O 3.677 5.200 4.322
O 1.310 1.792 4.327
O 1.310 1.792 8.639
O 4.442 3.902 2.161
O 2.773 1.441 6.483
O 7.355 7.889 6.483
O 3.865 2.554 4.355
O 3.865 2.554 8.611
O 1.310 -1.792 0.005
O 1.310 -1.792 4.317
O 7.355 6.294 4.371
O 7.355 6.294 8.595
O 6.047 3.990 0.049
O 6.047 3.990 4.273
O 3.263 0.000 0.000
O 3.263 0.000 4.322
O 2.773 -1.441 2.161
O 7.355 4.661 6.483
O 3.865 -2.554 0.033
O 3.865 -2.554 4.289
O 8.662 3.990 0.049
O 8.662 3.990 4.273
O 4.442 -3.902 6.483
O 3.677 -5.200 0.000
O 3.677 -5.200 4.322
O 10.267 3.902 2.161
O 6.047 -3.990 4.371
O 6.047 -3.990 8.595
O 10.844 2.554 4.355
O 10.844 2.554 8.611
O 7.355 -4.661 2.161
O 11.936 1.441 6.483
O 11.446 0.000 0.000
O 11.446 0.000 4.322
O 8.662 -3.990 4.371
O 8.662 -3.990 8.595
O 7.355 -6.294 0.049
O 7.355 -6.294 4.273
O 13.399 1.792 4.327
O 13.399 1.792 8.639
O 10.844 -2.554 0.033
O 10.844 -2.554 4.289
O 7.355 -7.889 2.161
O 11.936 -1.441 2.161
O 10.267 -3.902 6.483
O 13.399 -1.792 0.005
O 13.399 -1.792 4.317
```

Space-group type: Cmcm
Raw total energy (eV per atom): -7.91



# 7
DFT (GGA-PBE) results for a relaxed structure of SiO2.

extended XYZ file:
```
24
Lattice="3.929 -4.219 0.000 3.929 4.219 0.000 0.000 0.000 11.314" Properties=species:S:1:pos:R:3 pbc="T T T"
Si 1.537 1.569 1.457
Si 2.392 1.569 7.114
Si 1.537 -1.569 7.114
Si 2.392 -1.569 1.457
Si 5.466 1.569 9.857
Si 6.321 1.569 4.200
Si 5.466 -1.569 4.200
Si 6.321 -1.569 9.857
O 1.964 2.109 0.000
O 1.964 2.109 5.657
O 2.269 2.109 2.829
O 1.964 0.000 1.440
O 1.964 0.000 7.097
O 3.929 2.109 7.199
O 3.929 2.109 9.773
O 5.589 2.109 2.829
O 1.964 -2.109 0.000
O 1.964 -2.109 5.657
O 2.269 -2.109 8.486
O 3.929 -2.109 1.541
O 3.929 -2.109 4.116
O 5.893 0.000 4.218
O 5.893 0.000 9.875
O 5.589 -2.109 8.486
```

Space-group type: Ccce
Raw total energy (eV per atom): -7.76



# 8
DFT (GGA-PBE) results for a relaxed structure of Li2MgSiO4.

extended XYZ file:
```
32
Lattice="5.071 0.000 0.000 0.000 10.802 0.000 -5.021 0.000 6.359" Properties=species:S:1:pos:R:3 pbc="T T T"
Li -1.023 0.799 1.507
Li -3.533 4.602 4.686
Li -4.041 1.751 6.332
Li -1.531 3.650 3.152
Li 1.581 7.152 3.206
Li 4.091 9.051 0.027
Li 3.583 6.200 1.673
Li 1.073 10.003 4.852
Mg 1.561 7.178 0.010
Mg -0.949 9.025 3.189
Mg 0.999 1.777 3.170
Mg -1.512 3.624 6.349
Si -1.541 0.944 4.755
Si 0.970 4.457 1.575
Si -0.920 6.345 4.783
Si 1.590 9.858 1.604
O -3.195 0.984 4.736
O -0.684 4.417 1.556
O -1.465 7.144 3.439
O 1.046 9.059 0.260
O -0.993 1.722 3.393
O 1.517 3.679 0.214
O 1.057 0.614 1.581
O -1.453 4.787 4.761
O 1.503 6.015 1.598
O -1.008 10.188 4.778
O -1.468 7.123 6.145
O 1.043 9.080 2.966
O -0.996 1.743 6.099
O 1.514 3.658 2.920
O 0.734 6.385 4.803
O 3.244 9.818 1.623
```

Space-group type: P2_1/c
Raw total energy (eV per atom): -6.44



Number 1: energy relative to the elements -1.430 eV/atom. Number 2: energy relative to the elements -1.683 eV/atom. Number 3: energy relative to the elements -0.300 eV/atom. Number 4: energy relative to the elements -3.949 eV/atom. Number 5: energy relative to the elements -0.542 eV/atom. Number 6: energy relative to the elements -3.257 eV/atom. Number 7: energy relative to the elements -3.107 eV/atom. Number 8: energy relative to the elements -2.956 eV/atom.